[1]
A geometry-optimized LiFe2B2O6 structure, computed with PBE with a Hubbard U.

Output
As for the calculated volume: 11.10 Å³/atom. The value obtained for the offset from the most stable computed form is 15 meV per atom. The value obtained for the formation energy is -2403 kJ/mol of formula units.

a b c (Å): 5.2832 8.9365 10.3423
angles (deg): 90.00 91.16 90.00
Fractional coordinates of all 44 atoms:
Li1 0.0000 0.0047 0.0000
Li2 0.0000 0.9953 0.5000
Li3 0.6847 0.0092 0.7504
Li4 0.6847 0.9908 0.2504
Fe1 0.0042 0.3362 0.5391
Fe2 0.0042 0.6638 0.0391
Fe3 0.1946 0.1750 0.2836
Fe4 0.1946 0.8250 0.7836
Fe5 0.4917 0.1782 0.0327
Fe6 0.4917 0.8218 0.5327
Fe7 0.6762 0.3412 0.7801
Fe8 0.6762 0.6588 0.2801
B1 0.1662 0.1651 0.7830
B2 0.1662 0.8349 0.2830
B3 0.5147 0.1675 0.5450
B4 0.5147 0.8325 0.0450
B5 0.6845 0.3252 0.2910
B6 0.6845 0.6748 0.7910
B7 0.9995 0.3292 0.0297
B8 0.9995 0.6708 0.5297
O1 0.0357 0.2905 0.7374
O2 0.0357 0.7094 0.2374
O3 0.0389 0.0338 0.8044
O4 0.0389 0.9662 0.3044
O5 0.1068 0.4657 0.0489
O6 0.1068 0.5343 0.5489
O7 0.1215 0.1982 0.0728
O8 0.1215 0.8018 0.5728
O9 0.2606 0.1739 0.5069
O10 0.2606 0.8261 0.0069
O11 0.4269 0.1739 0.8106
O12 0.4269 0.8261 0.3106
O13 0.5644 0.1965 0.2428
O14 0.5644 0.8035 0.7428
O15 0.5725 0.4606 0.2769
O16 0.5725 0.5394 0.7769
O17 0.6401 0.2983 0.5836
O18 0.6401 0.7017 0.0836
O19 0.6449 0.0340 0.5471
O20 0.6449 0.9660 0.0471
O21 0.7651 0.3109 0.9672
O22 0.7651 0.6891 0.4672
O23 0.9188 0.3070 0.3523
O24 0.9188 0.6930 0.8523



[2]
A geometry-optimized LiFe2B2O6 structure, computed with PBE with a Hubbard U.

Output
As for the calculated volume: 11.06 Å³/atom. The value obtained for the offset from the most stable computed form is 17 meV per atom. The value obtained for the formation energy is -2401 kJ/mol of formula units.

a b c (Å): 5.2401 9.1587 11.2821
angles (deg): 111.68 103.26 90.91
Fractional coordinates of all 44 atoms:
Li1 0.0000 0.0000 0.0000
Li2 0.0150 0.7078 0.7330
Li3 0.2777 0.9637 0.2476
Li4 0.5175 0.2082 0.7396
Fe1 0.0143 0.6700 0.0201
Fe2 0.0430 0.3890 0.7709
Fe3 0.2515 0.5888 0.5114
Fe4 0.2737 0.3082 0.2756
Fe5 0.5073 0.1828 0.0269
Fe6 0.5443 0.8919 0.7680
Fe7 0.7538 0.0855 0.5187
Fe8 0.7916 0.8007 0.2729
B1 0.0551 0.0620 0.7813
B2 0.2474 0.9253 0.5223
B3 0.2947 0.6444 0.2765
B4 0.5109 0.8581 0.0311
B5 0.5399 0.5526 0.7700
B6 0.7550 0.4343 0.5310
B7 0.7792 0.1227 0.2627
B8 0.9973 0.3341 0.0103
O1 0.0380 0.1237 0.2599
O2 0.1004 0.4409 0.9675
O3 0.1346 0.7464 0.2340
O4 0.1591 0.2350 0.0550
O5 0.1811 0.5379 0.3165
O6 0.2506 0.8577 0.0357
O7 0.3294 0.0903 0.8171
O8 0.3626 0.8099 0.5647
O9 0.3973 0.0586 0.5434
O10 0.4007 0.6630 0.7338
O11 0.4093 0.4232 0.7734
O12 0.4831 0.4221 0.4846
O13 0.5519 0.6514 0.2765
O14 0.6139 0.2211 0.2200
O15 0.6148 0.9644 0.9848
O16 0.6625 0.0163 0.3038
O17 0.6793 0.7638 0.0741
O18 0.7373 0.3224 0.0062
O19 0.8197 0.5734 0.8025
O20 0.8672 0.3231 0.5773
O21 0.9094 0.1680 0.7389
O22 0.9125 0.5610 0.5392
O23 0.9331 0.9343 0.7909
O24 0.9774 0.9031 0.4667



[3]
A geometry-optimized LiFe2B2O6 structure, computed with PBE with a Hubbard U.

Output
As for the calculated volume: 11.03 Å³/atom. The value obtained for the offset from the most stable computed form is 15 meV per atom. The value obtained for the formation energy is -2404 kJ/mol of formula units.

a b c (Å): 5.2757 9.1136 11.3591
angles (deg): 66.47 76.94 89.74
Fractional coordinates of all 44 atoms:
Li1 0.0000 0.0000 0.0000
Li2 0.1766 0.8560 0.2693
Li3 0.4993 0.4949 0.0044
Li4 0.7382 0.7215 0.5120
Fe1 0.1727 0.5011 0.2939
Fe2 0.2277 0.8832 0.5411
Fe3 0.4133 0.4274 0.7797
Fe4 0.4788 0.8099 0.0384
Fe5 0.6653 0.0197 0.2873
Fe6 0.7179 0.3712 0.5324
Fe7 0.9160 0.9277 0.7838
Fe8 0.9699 0.3168 0.0346
B1 0.1724 0.1760 0.2829
B2 0.2181 0.5591 0.5299
B3 0.4180 0.7577 0.7948
B4 0.4653 0.1358 0.0411
B5 0.6732 0.6790 0.2896
B6 0.7156 0.0474 0.5367
B7 0.9120 0.2625 0.7888
B8 0.9758 0.6396 0.0403
O1 0.0445 0.3653 0.8231
O2 0.0928 0.6935 0.5210
O3 0.1253 0.4498 0.4881
O4 0.2020 0.8073 0.7458
O5 0.2083 0.6138 0.0853
O6 0.2830 0.3092 0.2828
O7 0.2881 0.0294 0.3201
O8 0.3152 0.0012 0.0587
O9 0.3841 0.2897 0.9893
O10 0.4332 0.6869 0.2548
O11 0.4485 0.5342 0.5772
O12 0.5043 0.6116 0.8068
O13 0.5466 0.8551 0.8355
O14 0.5916 0.1760 0.5288
O15 0.6354 0.9394 0.4848
O16 0.6970 0.3101 0.7380
O17 0.7008 0.1152 0.0817
O18 0.7827 0.8123 0.2983
O19 0.8003 0.5417 0.3185
O20 0.8386 0.5192 0.0329
O21 0.8901 0.7949 0.9997
O22 0.9279 0.0042 0.5940
O23 0.9466 0.1780 0.2397
O24 0.9908 0.1116 0.8134



[4]
A geometry-optimized LiFe2B2O6 structure, computed with PBE with a Hubbard U.

Output
As for the calculated volume: 11.03 Å³/atom. The value obtained for the offset from the most stable computed form is 8 meV per atom. The value obtained for the formation energy is -2410 kJ/mol of formula units.

a b c (Å): 5.2536 5.2708 20.1599
angles (deg): 90.46 90.29 119.56
Fractional coordinates of all 44 atoms:
Li1 0.0000 0.0000 0.0000
Li2 0.0054 0.0055 0.4983
Li3 0.6767 0.7101 0.6260
Li4 0.9749 0.0267 0.2508
Fe1 0.0065 0.3701 0.1095
Fe2 0.0106 0.3607 0.6095
Fe3 0.3266 0.0272 0.8604
Fe4 0.3403 0.6755 0.4816
Fe5 0.3423 0.6706 0.9815
Fe6 0.3434 0.0295 0.3586
Fe7 0.6472 0.3684 0.2327
Fe8 0.6564 0.3539 0.7366
B1 0.0014 0.3637 0.3557
B2 0.3281 0.6943 0.7341
B3 0.3285 0.6974 0.2330
B4 0.3392 0.0259 0.1060
B5 0.3396 0.0235 0.6089
B6 0.6733 0.3523 0.9830
B7 0.6728 0.3541 0.4821
B8 0.9918 0.3584 0.8570
O1 0.0237 0.1179 0.8572
O2 0.0441 0.1287 0.3478
O3 0.0558 0.4658 0.7155
O4 0.0759 0.4389 0.2114
O5 0.0775 0.0207 0.5997
O6 0.1061 0.0721 0.0977
O7 0.2166 0.6275 0.8782
O8 0.2237 0.6296 0.3787
O9 0.2969 0.9355 0.2542
O10 0.3087 0.7577 0.0875
O11 0.3459 0.9550 0.7562
O12 0.3612 0.7781 0.5926
O13 0.4111 0.1021 0.4606
O14 0.4175 0.0979 0.9607
O15 0.5731 0.6661 0.7273
O16 0.5876 0.2757 0.6336
O17 0.5943 0.7130 0.2339
O18 0.6044 0.2445 0.1306
O19 0.6829 0.6175 0.4867
O20 0.6860 0.6152 0.9836
O21 0.7260 0.3417 0.8368
O22 0.7321 0.3346 0.3379
O23 0.9124 0.3235 0.0048
O24 0.9155 0.3277 0.5001



> Among the records above, which one has the lowest formation energy?

number 4